Here is a relaxed Na3V3H6O7 crystal from the Materials Project database. Energies are from PBE+U.

Output
Magnetization, Bohr magnetons per cell: 8.0
E_form, eV/atom: -1.106
Raw total energy, eV/cell: -97.32

Cell: 11.3672 9.5343 9.2001 Å, 116.24 99.18 91.60°
Positions (direct):
V (0.0461, 0.8389, 0.8584)
H (0.6049, 0.7210, 0.1337)
H (0.6127, 0.4928, 0.7353)
O (0.6631, 0.8250, 0.7951)
H (0.4919, 0.7760, 0.2228)
H (0.7293, 0.6203, 0.9957)
O (0.0508, 0.6383, 0.7654)
O (0.6896, 0.5564, 0.7691)
O (0.7298, 0.6592, 0.1148)
V (0.8021, 0.9453, 0.8569)
H (0.7896, 0.7575, 0.1769)
O (0.5254, 0.7695, 0.1299)
O (0.9619, 0.0151, 0.9892)
V (0.9367, 0.0095, 0.1919)
Na (0.9077, 0.8782, 0.5153)
O (0.8769, 0.9218, 0.3009)
Na (0.5502, 0.8939, 0.9831)
H (0.6721, 0.6696, 0.7747)
Na (0.8693, 0.5220, 0.6909)



Here is a relaxed CaLaMn2O6 crystal from the Materials Project database. Energies are from PBE+U.

Output
Magnetization, Bohr magnetons per cell: 0.0
E_form, eV/atom: -2.763
Raw total energy, eV/cell: -150.24

Cell: 5.5659 5.5584 7.5938 Å, 90.00 90.00 87.17°
Positions (direct):
O (0.4914, 0.5883, 0.2500)
O (0.2899, 0.2354, 0.4567)
Mn (0.5000, 0.5000, 0.0000)
Ca (0.5376, 0.0121, 0.2500)
O (0.9771, 0.9360, 0.2500)
La (0.0309, 0.4981, 0.2500)
O (0.2151, 0.7113, 0.9648)
O (0.0228, 0.0639, 0.7500)
O (0.2899, 0.2353, 0.0433)
O (0.7850, 0.2886, 0.0352)
Mn (0.0000, 0.0000, 0.5000)
Ca (0.4624, 0.9880, 0.7500)
Mn (0.5000, 0.5000, 0.5001)
O (0.7101, 0.7647, 0.9567)
O (0.7100, 0.7647, 0.5432)
Mn (0.0003, 0.0000, 0.0000)
O (0.2150, 0.7114, 0.5352)
O (0.5085, 0.4118, 0.7500)
La (0.9691, 0.5018, 0.7500)
O (0.7849, 0.2887, 0.4648)



Here is a relaxed NaPrEuWO6 crystal from the Materials Project database. Energies are from PBE+U.

Output
Magnetization, Bohr magnetons per cell: 7.0
E_form, eV/atom: -2.752
Raw total energy, eV/cell: -77.96

Cell: 6.0396 6.0396 6.0396 Å, 60.00 60.00 60.00°
Positions (direct):
W (0.5000, 0.5000, 0.5000)
O (0.7277, 0.2723, 0.7277)
Na (0.2500, 0.2500, 0.2500)
Eu (0.7500, 0.7500, 0.7500)
O (0.7277, 0.2723, 0.2723)
O (0.2723, 0.2723, 0.7277)
O (0.7277, 0.7277, 0.2723)
Pr (0.0000, 0.0000, 0.0000)
O (0.2723, 0.7277, 0.7277)
O (0.2723, 0.7277, 0.2723)



Here is a relaxed Li9Mn7O16 crystal from the Materials Project database. Energies are from PBE+U.

Output
Magnetization, Bohr magnetons per cell: 26.0
E_form, eV/atom: -2.124
Raw total energy, eV/cell: -205.80

Cell: 3.0067 9.9435 10.1861 Å, 77.83 86.49 86.13°
Positions (direct):
O (0.5342, 0.6193, 0.5688)
O (0.9933, 0.8818, 0.4227)
O (0.4658, 0.3807, 0.4312)
O (0.5267, 0.8925, 0.6973)
Li (0.4967, 0.2478, 0.1246)
O (0.0067, 0.1182, 0.5773)
Mn (0.5008, 0.4981, 0.2504)
O (0.0345, 0.6150, 0.3182)
Li (0.4879, 0.2417, 0.6198)
Li (0.0107, 0.2417, 0.3877)
Mn (0.9967, 0.0016, 0.7409)
O (0.9710, 0.8864, 0.9338)
O (0.9655, 0.3850, 0.6818)
O (0.0360, 0.6181, 0.8202)
Mn (0.5000, 0.0000, 0.0000)
O (0.5326, 0.8942, 0.1900)
O (0.4733, 0.1075, 0.3027)
O (0.0290, 0.1136, 0.0662)
O (0.4670, 0.3814, 0.9304)
Li (0.5033, 0.7522, 0.8754)
Li (0.5121, 0.7583, 0.3802)
Li (0.0065, 0.2549, 0.8750)
Li (0.9893, 0.7583, 0.6123)
O (0.4674, 0.1058, 0.8100)
O (0.9640, 0.3819, 0.1798)
Li (0.5000, 0.0000, 0.5000)
Mn (0.0000, 0.5000, 0.5000)
Li (0.9935, 0.7451, 0.1250)
Mn (0.0000, 0.5000, 0.0000)
Mn (0.4992, 0.5019, 0.7496)
O (0.5330, 0.6186, 0.0696)
Mn (0.0033, 0.9984, 0.2591)



Here is a relaxed Sr2Ca6TiMn7O20 crystal from the Materials Project database. Energies are from PBE+U.

Output
Magnetization, Bohr magnetons per cell: 115.5
E_form, eV/atom: -2.690
Raw total energy, eV/cell: -1031.36

Cell: 10.9478 11.1828 17.3087 Å, 108.77 108.34 90.00°
Positions (direct):
O (0.3845, 0.3795, 0.5053)
O (0.8747, 0.6180, 0.9884)
Mn (0.5080, 0.5014, 0.0021)
O (0.1234, 0.1208, 0.9861)
Sr (0.0600, 0.8006, 0.6095)
O (0.1319, 0.3784, 0.5041)
O (0.3862, 0.3823, 0.0171)
Ca (0.1948, 0.9366, 0.8924)
Mn (0.0045, 0.9978, 0.4971)
Ca (0.4385, 0.7040, 0.8910)
Ca (0.6985, 0.4348, 0.3927)
Mn (0.1138, 0.0893, 0.2481)
O (0.8204, 0.2945, 0.6276)
Mn (0.2554, 0.2482, 0.4965)
Mn (0.5054, 0.5013, 0.4980)
O (0.1220, 0.6208, 0.4848)
Mn (0.3680, 0.9061, 0.7501)
O (0.3257, 0.7906, 0.6266)
O (0.9453, 0.9087, 0.3622)
Mn (0.6104, 0.5918, 0.2503)
Mn (0.2564, 0.7535, 0.0033)
O (0.6418, 0.3759, 0.0144)
O (0.6971, 0.7131, 0.3692)
Ca (0.3103, 0.5665, 0.1118)
Ca (0.8029, 0.5625, 0.1109)
O (0.1279, 0.1186, 0.4900)
O (0.2025, 0.7150, 0.3704)
O (0.3870, 0.8839, 0.0132)
Mn (0.0030, 0.5001, 0.4966)
Mn (0.8595, 0.4099, 0.7522)
O (0.5828, 0.5928, 0.1297)
O (0.3736, 0.1168, 0.9919)
Mn (0.1038, 0.5988, 0.7475)
O (0.1920, 0.7108, 0.8608)
Ti (0.7524, 0.7498, 0.9975)
Ca (0.4499, 0.2069, 0.3922)
O (0.6751, 0.4169, 0.2501)
O (0.3746, 0.6171, 0.4841)
O (0.4474, 0.4163, 0.8731)
Ca (0.5581, 0.7928, 0.6054)
O (0.8926, 0.8878, 0.0197)
Ca (0.0580, 0.7924, 0.1110)
Sr (0.9464, 0.1984, 0.3857)
O (0.9436, 0.4150, 0.3661)
O (0.1754, 0.4180, 0.2511)
O (0.4345, 0.5800, 0.7585)
O (0.6908, 0.2032, 0.8593)
Ca (0.0573, 0.2958, 0.1127)
O (0.1392, 0.3820, 0.0187)
Sr (0.4472, 0.2028, 0.8891)
O (0.8808, 0.3849, 0.5077)
Ca (0.6996, 0.9333, 0.3915)
O (0.3347, 0.2895, 0.1416)
Ti (0.0074, 0.0017, 0.0023)
O (0.5805, 0.0940, 0.1291)
O (0.6409, 0.8809, 0.0187)
O (0.3748, 0.6296, 0.9944)
O (0.6696, 0.9278, 0.7492)
O (0.1917, 0.2063, 0.8627)
O (0.4433, 0.9074, 0.3676)
O (0.3875, 0.8820, 0.5115)
O (0.3720, 0.1136, 0.4851)
Ca (0.9506, 0.7074, 0.8912)
Ca (0.9497, 0.2070, 0.8922)
O (0.6218, 0.6175, 0.4840)
Mn (0.1076, 0.0933, 0.7518)
Sr (0.3106, 0.5614, 0.6101)
O (0.6303, 0.8737, 0.5062)
O (0.0697, 0.5844, 0.6296)
O (0.1850, 0.9375, 0.7594)
Mn (0.3568, 0.9040, 0.2533)
Ca (0.6957, 0.9415, 0.8894)
Ca (0.2012, 0.4349, 0.3931)
O (0.1217, 0.6260, 0.9904)
O (0.9241, 0.5858, 0.7503)
O (0.9302, 0.0790, 0.7570)
O (0.8862, 0.3827, 0.0125)
O (0.8390, 0.2917, 0.1417)
O (0.7116, 0.7272, 0.8763)
Mn (0.7537, 0.2497, 0.4974)
O (0.6935, 0.2136, 0.3696)
Ca (0.8046, 0.0674, 0.1099)
Mn (0.7570, 0.2500, 0.0020)
Mn (0.5035, 0.9977, 0.4970)
Mn (0.7542, 0.7475, 0.4963)
O (0.1752, 0.9140, 0.2501)
O (0.4600, 0.9088, 0.8748)
O (0.6268, 0.6233, 0.9857)
O (0.9521, 0.9063, 0.8748)
Mn (0.3682, 0.4068, 0.7511)
O (0.0742, 0.0787, 0.6336)
Sr (0.2011, 0.4404, 0.8905)
O (0.6198, 0.1174, 0.4836)
O (0.4214, 0.5677, 0.2496)
Ca (0.5516, 0.7909, 0.1112)
O (0.6297, 0.1174, 0.9908)
O (0.1361, 0.8793, 0.5055)
O (0.3338, 0.7926, 0.1421)
Mn (0.8562, 0.8957, 0.2456)
Mn (0.6054, 0.0929, 0.7451)
O (0.4241, 0.0785, 0.7419)
Ca (0.4487, 0.7052, 0.3918)
O (0.8758, 0.1178, 0.9891)
O (0.8307, 0.7823, 0.1317)
Sr (0.5607, 0.3013, 0.6107)
Mn (0.8570, 0.4075, 0.2520)
O (0.9202, 0.5708, 0.2494)
O (0.8715, 0.1146, 0.4866)
Ca (0.6954, 0.4304, 0.8919)
Mn (0.6164, 0.6033, 0.7540)
Ca (0.3054, 0.0682, 0.1130)
O (0.5743, 0.0834, 0.6286)
O (0.1827, 0.4431, 0.7495)
O (0.9231, 0.0536, 0.2397)
Sr (0.0574, 0.2973, 0.6079)
O (0.8711, 0.6158, 0.4839)
Mn (0.2566, 0.7494, 0.4974)
Ti (0.0061, 0.5008, 0.0020)
Ca (0.1984, 0.9334, 0.3921)
Mn (0.1110, 0.5937, 0.2509)
O (0.8213, 0.7875, 0.6261)
Mn (0.6076, 0.0904, 0.2498)
Mn (0.3570, 0.4041, 0.2523)
Ca (0.8041, 0.5643, 0.6051)
O (0.1970, 0.2114, 0.3685)
O (0.6776, 0.4324, 0.7601)
O (0.9536, 0.4083, 0.8749)
Mn (0.8590, 0.9017, 0.7509)
O (0.6340, 0.3818, 0.5067)
O (0.0863, 0.0972, 0.1284)
Sr (0.8072, 0.0605, 0.6084)
Ti (0.5060, 0.0014, 0.0030)
O (0.8835, 0.8770, 0.5034)
O (0.0774, 0.5930, 0.1284)
O (0.4188, 0.0684, 0.2504)
O (0.5779, 0.5914, 0.6287)
Mn (0.2560, 0.2514, 0.0032)
O (0.3246, 0.2923, 0.6283)
O (0.4438, 0.4088, 0.3666)
O (0.1397, 0.8843, 0.0159)
Ca (0.3067, 0.0614, 0.6023)
O (0.6749, 0.9157, 0.2492)
Ca (0.9487, 0.7057, 0.3916)
Ca (0.5554, 0.2963, 0.1115)



Here is a relaxed Mn2CuO4 crystal from the Materials Project database. Energies are from PBE+U.

Output
Magnetization, Bohr magnetons per cell: 74.2
E_form, eV/atom: -1.649
Raw total energy, eV/cell: -476.76

Cell: 6.0253 6.0253 24.8813 Å, 82.27 82.27 59.73°
Positions (direct):
O (0.8338, 0.8338, 0.5166)
O (0.1931, 0.7479, 0.3230)
Mn (0.0743, 0.0743, 0.2743)
O (0.0140, 0.0140, 0.4282)
O (0.4095, 0.4095, 0.2283)
Mn (0.0045, 0.0045, 0.9997)
O (0.5325, 0.9887, 0.9239)
Cu (0.4742, 0.4742, 0.0761)
Mn (0.6749, 0.6749, 0.9748)
Cu (0.3473, 0.3473, 0.9510)
O (0.7640, 0.2159, 0.8264)
Mn (0.0737, 0.5770, 0.2742)
Mn (0.1773, 0.6735, 0.4751)
O (0.1305, 0.5893, 0.1245)
O (0.9340, 0.9340, 0.7233)
Mn (0.4045, 0.4045, 0.7995)
O (0.0176, 0.5647, 0.4255)
Mn (0.0751, 0.0751, 0.7746)
Mn (0.4753, 0.4753, 0.5745)
O (0.8124, 0.8124, 0.0282)
O (0.9219, 0.9219, 0.2311)
O (0.6337, 0.6337, 0.1183)
Mn (0.8736, 0.3769, 0.8752)
Mn (0.2737, 0.7770, 0.6752)
O (0.8158, 0.3646, 0.0269)
O (0.2133, 0.2133, 0.8269)
O (0.5336, 0.5336, 0.9235)
Mn (0.2727, 0.2727, 0.1747)
O (0.9327, 0.3884, 0.7237)
Cu (0.6748, 0.6748, 0.4749)
Mn (0.6735, 0.1773, 0.4751)
Cu (0.9480, 0.9480, 0.1497)
O (0.5647, 0.0176, 0.4255)
Mn (0.4750, 0.9749, 0.0760)
Cu (0.8741, 0.8741, 0.8752)
O (0.7399, 0.7399, 0.3206)
Cu (0.5511, 0.5511, 0.3502)
O (0.6133, 0.6133, 0.6270)
Mn (0.9749, 0.4750, 0.0760)
O (0.7143, 0.7143, 0.8326)
O (0.9887, 0.5325, 0.9239)
Mn (0.8046, 0.8046, 0.5994)
O (0.3646, 0.8158, 0.0269)
O (0.5159, 0.5159, 0.4324)
O (0.2159, 0.7640, 0.8264)
Mn (0.2040, 0.2040, 0.4003)
O (0.1147, 0.1147, 0.6327)
Cu (0.2743, 0.2743, 0.6751)
O (0.3337, 0.3337, 0.5231)
O (0.4351, 0.4351, 0.7168)
O (0.5893, 0.1305, 0.1245)
O (0.3321, 0.7884, 0.5238)
O (0.3884, 0.9327, 0.7237)
O (0.2289, 0.2289, 0.3173)
Mn (0.8782, 0.8782, 0.3743)
O (0.6155, 0.1634, 0.6265)
O (0.4024, 0.9552, 0.2265)
Cu (0.1473, 0.1473, 0.5504)
O (0.1350, 0.1350, 0.1224)
O (0.3160, 0.3160, 0.0332)
Mn (0.7770, 0.2737, 0.6752)
Cu (0.7475, 0.7475, 0.7503)
Mn (0.5770, 0.0737, 0.2742)
Mn (0.3769, 0.8736, 0.8752)
O (0.7884, 0.3321, 0.5238)
O (0.7479, 0.1931, 0.3230)
O (0.0357, 0.0357, 0.9169)
O (0.9552, 0.4024, 0.2265)
Cu (0.5990, 0.5990, 0.1989)
O (0.1634, 0.6155, 0.6265)



Here is a relaxed Li4Mn3NiO8 crystal from the Materials Project database. Energies are from PBE+U.

Output
Magnetization, Bohr magnetons per cell: 13.0
E_form, eV/atom: -2.024
Raw total energy, eV/cell: -99.82

Cell: 5.8885 5.8885 5.9956 Å, 59.68 59.68 61.01°
Positions (direct):
O (0.7226, 0.2558, 0.7409)
O (0.2496, 0.2496, 0.2127)
O (0.2558, 0.7226, 0.7409)
O (0.2774, 0.7442, 0.2591)
O (0.2639, 0.2639, 0.7172)
Li (0.5000, 0.0000, 0.5000)
Mn (0.5000, 0.5000, 0.5000)
Li (0.0000, 0.5000, 0.5000)
Ni (0.0000, 0.0000, 0.5000)
Mn (0.0000, 0.5000, 0.0000)
Mn (0.5000, 0.0000, 0.0000)
O (0.7361, 0.7361, 0.2828)
Li (0.5000, 0.5000, 0.0000)
Li (0.0000, 0.0000, 0.0000)
O (0.7504, 0.7504, 0.7873)
O (0.7442, 0.2774, 0.2591)



Here is a relaxed YNi3O6 crystal from the Materials Project database. Energies are from PBE+U.

Output
Magnetization, Bohr magnetons per cell: 12.0
E_form, eV/atom: -1.583
Raw total energy, eV/cell: -230.31

Cell: 18.3140 6.1342 6.1342 Å, 59.99 59.69 59.69°
Positions (direct):
O (0.4138, 0.2211, 0.2211)
O (0.0720, 0.2372, 0.2372)
Ni (0.6667, 0.5000, 0.0000)
O (0.0714, 0.8087, 0.2342)
Ni (0.4993, 0.9987, 0.9987)
Ni (0.8341, 0.0013, 0.0013)
O (0.7272, 0.7630, 0.7630)
O (0.0756, 0.7557, 0.7557)
O (0.2619, 0.1913, 0.7658)
O (0.4122, 0.2174, 0.8153)
O (0.4010, 0.7636, 0.7636)
Ni (0.3352, 0.9997, 0.4944)
O (0.6061, 0.2370, 0.2370)
O (0.9323, 0.2364, 0.2364)
Ni (0.9981, 0.5056, 0.0003)
O (0.7495, 0.2264, 0.2264)
Ni (0.3352, 0.4944, 0.9997)
O (0.7491, 0.8041, 0.2278)
Ni (0.3354, 0.9991, 0.9991)
Y (0.2202, 0.6135, 0.6135)
O (0.9211, 0.1847, 0.7826)
O (0.5838, 0.7736, 0.7736)
O (0.5842, 0.1959, 0.7722)
Ni (0.6667, 0.0000, 0.0000)
O (0.0714, 0.2342, 0.8087)
Y (0.1131, 0.3865, 0.3865)
O (0.4122, 0.8153, 0.2174)
O (0.7491, 0.2278, 0.8041)
Y (0.5378, 0.6269, 0.6269)
Y (0.7955, 0.3731, 0.3731)
Ni (0.6667, 0.0000, 0.5000)
O (0.2619, 0.7658, 0.1913)
O (0.2578, 0.2443, 0.2443)
O (0.9211, 0.7826, 0.1847)
Ni (0.9981, 0.0003, 0.5056)
O (0.9196, 0.7789, 0.7789)
O (0.2613, 0.7628, 0.7628)
Ni (0.1667, 0.0000, 0.0000)
O (0.5842, 0.7722, 0.1959)
Ni (0.9980, 0.0009, 0.0009)



Here is a relaxed MgMn6O10F2 crystal from the Materials Project database. Energies are from PBE+U.

Output
Magnetization, Bohr magnetons per cell: 22.0
E_form, eV/atom: -2.085
Raw total energy, eV/cell: -131.70

Cell: 8.1022 5.6804 5.8821 Å, 69.71 64.15 65.85°
Positions (direct):
Mn (0.5206, 0.0221, 0.0173)
O (0.3287, 0.9688, 0.3676)
Mn (0.6697, 0.3683, 0.3283)
O (0.6608, 0.6494, 0.0333)
Mg (0.4973, 0.9960, 0.5230)
Mn (0.1276, 0.3056, 0.3165)
O (0.9431, 0.2490, 0.2014)
Mn (0.8609, 0.6785, 0.6962)
O (0.5905, 0.5935, 0.5555)
O (0.3260, 0.3592, 0.9804)
F (0.2887, 0.9039, 0.8632)
O (0.0433, 0.7658, 0.7913)
F (0.0032, 0.7050, 0.3095)
Mn (0.3188, 0.6300, 0.6755)
O (0.9880, 0.3141, 0.6778)
Mn (0.9792, 0.0260, 0.9873)
O (0.6930, 0.1065, 0.1559)
O (0.6740, 0.0358, 0.6525)
O (0.3940, 0.4058, 0.4629)